(1)
The following is a DFT calculation (PBE) of a geometry-optimized Mo2WSe2S4 structure.

Summary:
* energy above the lowest structure with this stoichiometry: 0.001 eV per atom
* total magnetic moment: 0.00 μB per atom
* E: -0.532 Ry/atom

a b c (Å): 3.231 3.231 29.693
angles (deg): 90.00 90.00 120.00
Fractional coordinates of all 9 atoms:
Se: 0.000 0.000 0.596
Se: 0.000 0.000 0.711
W: 0.000 0.000 0.422
S: 0.333 0.667 0.474
S: 0.333 0.667 0.937
S: 0.333 0.667 0.369
Mo: 0.000 0.000 0.884
S: 0.333 0.667 0.832
Mo: 0.333 0.667 0.653

(2)
The following is a DFT calculation (PBE) of a geometry-optimized Na2Cr3Se6 structure.

Summary:
* E: -0.404 Ry/atom

a b c (Å): 6.341 6.341 7.412
angles (deg): 81.78 81.78 120.01
Fractional coordinates of all 11 atoms:
Se: 0.268 0.268 0.199
Cr: 0.333 0.667 0.000
Na: 0.167 0.833 0.500
Se: 0.067 0.400 0.802
Se: 0.933 0.600 0.198
Cr: 0.000 0.000 0.000
Cr: 0.667 0.333 0.000
Na: 0.833 0.167 0.500
Se: 0.400 0.067 0.802
Se: 0.600 0.933 0.198
Se: 0.732 0.732 0.801

(3)
The following is a DFT calculation (PBE) of a geometry-optimized Zr2N2O structure.

Summary:
* total magnetic moment: 0.00 μB per atom
* E: -0.714 Ry/atom

a b c (Å): 5.576 5.576 14.799
angles (deg): 89.95 89.95 59.81
Fractional coordinates of all 30 atoms:
N: 0.661 0.965 0.415
O: 0.644 0.333 0.582
Zr: 0.324 0.322 0.691
N: 0.956 0.369 0.418
N: 0.006 0.290 0.752
Zr: 0.998 0.999 0.642
Zr: 0.674 0.679 0.025
Zr: 0.002 0.001 0.358
N: 0.290 0.006 0.252
Zr: 0.679 0.674 0.525
O: 0.667 0.356 0.918
N: 0.035 0.339 0.085
N: 0.994 0.710 0.248
Zr: 0.321 0.326 0.475
Zr: 0.322 0.324 0.191
O: 0.311 0.689 0.750
Zr: 0.676 0.678 0.309
O: 0.333 0.644 0.082
N: 0.631 0.044 0.082
N: 0.710 0.994 0.748
O: 0.689 0.311 0.250
N: 0.369 0.956 0.918
N: 0.044 0.631 0.582
Zr: 0.678 0.676 0.809
Zr: 0.001 0.002 0.858
O: 0.356 0.667 0.418
Zr: 0.999 0.998 0.142
N: 0.339 0.035 0.585
Zr: 0.326 0.321 0.975
N: 0.965 0.661 0.915

(4)
The following is a DFT calculation (PBE) of a geometry-optimized CeGe2Ir2 structure.

Summary:
* E: -0.541 Ry/atom

a b c (Å): 4.263 4.263 10.216
angles (deg): 90.00 90.00 90.00
Fractional coordinates of all 10 atoms:
Ir: 0.500 0.000 0.628
Ir: 0.000 0.000 0.000
Ge: 0.500 0.000 0.868
Ir: 0.500 0.500 0.000
Ge: 0.000 0.000 0.500
Ir: 0.000 0.500 0.372
Ce: 0.000 0.500 0.743
Ge: 0.000 0.500 0.132
Ge: 0.500 0.500 0.500
Ce: 0.500 0.000 0.257

(5)
The following is a DFT calculation (PBE) of a geometry-optimized NaMo3 structure.

Summary:
* total magnetic moment: 0.04 μB per atom
* E: -0.554 Ry/atom

a b c (Å): 4.532 4.532 4.532
angles (deg): 60.00 60.00 60.00
Fractional coordinates of all 4 atoms:
Mo: 0.250 0.250 0.250
Mo: 0.750 0.750 0.750
Na: 0.000 0.000 0.000
Mo: 0.500 0.500 0.500

(6)
The following is a DFT calculation (PBE) of a geometry-optimized BiTeO5 structure.

Summary:
* energy above the lowest structure with this stoichiometry: 0.058 eV per atom
* total magnetic moment: 0.00 μB per atom
* E: -0.378 Ry/atom

a b c (Å): 6.176 11.652 16.414
angles (deg): 90.00 90.00 90.00
Fractional coordinates of all 56 atoms:
O: 0.383 0.699 0.798
O: 0.651 0.001 0.665
Te: 0.026 0.609 0.393
O: 0.660 0.194 0.547
Bi: 0.429 0.174 0.288
O: 0.271 0.537 0.426
O: 0.349 0.499 0.165
O: 0.117 0.199 0.202
Bi: 0.929 0.326 0.288
Bi: 0.571 0.326 0.788
O: 0.225 0.290 0.348
Bi: 0.571 0.826 0.712
Bi: 0.071 0.174 0.788
O: 0.840 0.694 0.453
Te: 0.526 0.891 0.393
O: 0.275 0.290 0.848
O: 0.771 0.963 0.426
O: 0.151 0.499 0.665
O: 0.651 0.501 0.835
Bi: 0.929 0.826 0.212
O: 0.883 0.801 0.798
O: 0.617 0.301 0.202
O: 0.883 0.301 0.702
O: 0.775 0.210 0.848
O: 0.840 0.194 0.047
O: 0.225 0.790 0.152
O: 0.160 0.306 0.547
O: 0.729 0.463 0.574
O: 0.849 0.001 0.165
Te: 0.974 0.891 0.893
O: 0.117 0.699 0.298
O: 0.725 0.210 0.348
O: 0.725 0.710 0.152
O: 0.160 0.806 0.953
O: 0.775 0.710 0.652
O: 0.383 0.199 0.702
O: 0.229 0.537 0.926
O: 0.229 0.037 0.574
Te: 0.026 0.109 0.107
O: 0.660 0.694 0.953
O: 0.271 0.037 0.074
Te: 0.526 0.391 0.107
O: 0.275 0.790 0.652
O: 0.729 0.963 0.926
Bi: 0.429 0.674 0.212
Bi: 0.071 0.674 0.712
O: 0.771 0.463 0.074
O: 0.151 0.999 0.835
Te: 0.474 0.109 0.607
O: 0.849 0.501 0.335
O: 0.349 0.999 0.335
O: 0.340 0.306 0.047
O: 0.340 0.806 0.453
Te: 0.974 0.391 0.607
O: 0.617 0.801 0.298
Te: 0.474 0.609 0.893

(7)
The following is a DFT calculation (PBE) of a geometry-optimized Rb2NaNb6P3O24 structure.

Summary:
* total magnetic moment: 0.00 μB per atom
* E: -0.588 Ry/atom

a b c (Å): 8.577 8.577 8.577
angles (deg): 75.53 75.53 104.45
Fractional coordinates of all 36 atoms:
O: 0.710 0.571 0.185
O: 0.739 0.860 0.943
P: 0.771 0.001 0.771
Nb: 0.656 0.853 0.463
Rb: 0.895 0.588 0.800
O: 0.429 0.290 0.815
Nb: 0.345 0.465 0.851
O: 0.813 0.709 0.430
P: 0.229 0.771 0.000
O: 0.525 0.000 0.524
Nb: 0.464 0.147 0.655
Nb: 0.535 0.655 0.149
O: 0.476 0.524 0.000
O: 0.500 0.653 0.653
O: 0.056 0.739 0.139
O: 0.000 0.475 0.476
O: 0.860 0.056 0.262
O: 0.140 0.261 0.057
O: 0.372 0.790 0.079
Nb: 0.147 0.344 0.537
O: 0.653 0.347 0.500
O: 0.944 0.140 0.738
O: 0.261 0.944 0.861
Nb: 0.853 0.536 0.345
O: 0.080 0.211 0.371
Na: 0.000 0.000 0.000
O: 0.789 0.920 0.629
O: 0.210 0.628 0.921
O: 0.571 0.814 0.290
O: 0.920 0.372 0.210
O: 0.186 0.429 0.710
P: 0.999 0.229 0.229
O: 0.291 0.187 0.570
Rb: 0.412 0.105 0.200
O: 0.347 0.500 0.347
O: 0.628 0.080 0.790

(8)
The following is a DFT calculation (PBE) of a geometry-optimized CeSe2 structure.

Summary:
* total magnetic moment: 0.00 μB per atom
* E: -0.396 Ry/atom

a b c (Å): 12.502 19.350 19.565
angles (deg): 105.29 94.87 95.99
Fractional coordinates of all 48 atoms:
Se: 0.019 0.666 0.321
Se: 0.600 0.562 0.142
Ce: 0.780 0.587 0.571
Se: 0.400 0.438 0.858
Se: 0.086 0.522 0.864
Se: 0.914 0.478 0.136
Se: 0.108 0.307 0.471
Se: 0.467 0.835 0.459
Se: 0.127 0.862 0.494
Ce: 0.389 0.640 0.643
Se: 0.401 0.366 0.377
Se: 0.210 0.177 0.615
Ce: 0.075 0.540 0.242
Ce: 0.955 0.761 0.432
Se: 0.493 0.772 0.231
Se: 0.356 0.625 0.774
Se: 0.100 0.450 0.325
Ce: 0.611 0.360 0.357
Ce: 0.696 0.441 0.124
Se: 0.892 0.693 0.529
Se: 0.271 0.530 0.542
Ce: 0.304 0.559 0.876
Se: 0.375 0.646 0.008
Se: 0.599 0.634 0.623
Ce: 0.220 0.413 0.429
Se: 0.507 0.228 0.769
Se: 0.873 0.138 0.506
Se: 0.533 0.165 0.541
Se: 0.644 0.375 0.226
Se: 0.729 0.470 0.458
Se: 0.790 0.823 0.385
Se: 0.330 0.768 0.635
Se: 0.395 0.002 0.643
Ce: 0.410 0.142 0.642
Ce: 0.590 0.858 0.358
Se: 0.625 0.354 0.992
Se: 0.262 0.570 0.189
Ce: 0.430 0.638 0.143
Se: 0.605 0.998 0.357
Se: 0.900 0.550 0.675
Ce: 0.045 0.239 0.568
Se: 0.738 0.430 0.811
Ce: 0.925 0.460 0.758
Ce: 0.329 0.866 0.558
Se: 0.981 0.334 0.679
Ce: 0.671 0.134 0.442
Ce: 0.570 0.362 0.857
Se: 0.670 0.232 0.365

(9)
The following is a DFT calculation (PBE) of a geometry-optimized Bi2PbF8 structure.

Summary:
* total magnetic moment: 0.00 μB per atom
* E: -0.342 Ry/atom

a b c (Å): 8.850 8.850 8.850
angles (deg): 151.85 151.85 40.24
Fractional coordinates of all 11 atoms:
F: 0.913 0.413 0.500
Bi: 0.677 0.677 0.000
F: 0.813 0.813 0.000
F: 0.187 0.187 0.000
F: 0.250 0.750 0.500
F: 0.413 0.913 0.500
F: 0.087 0.587 0.500
Bi: 0.323 0.323 0.000
Pb: 0.000 0.000 0.000
F: 0.750 0.250 0.500
F: 0.587 0.087 0.500

(10)
The following is a DFT calculation (PBE) of a geometry-optimized AcCdHg2 structure.

Summary:
* E: -0.134 Ry/atom

a b c (Å): 5.406 5.406 5.406
angles (deg): 60.00 60.00 60.00
Fractional coordinates of all 4 atoms:
Hg: 0.250 0.250 0.250
Cd: 0.000 0.000 0.000
Hg: 0.750 0.750 0.750
Ac: 0.500 0.500 0.500

(11)
The following is a DFT calculation (PBE) of a geometry-optimized LiW6CCl18 structure.

Summary:
* total magnetic moment: 0.04 μB per atom
* E: -0.409 Ry/atom

a b c (Å): 9.222 9.222 17.475
angles (deg): 90.00 90.00 120.00
Fractional coordinates of all 52 atoms:
Cl: 0.579 0.522 0.250
W: 0.181 0.479 0.167
Cl: 0.928 0.209 0.750
W: 0.702 0.181 0.833
Cl: 0.024 0.774 0.902
Cl: 0.477 0.100 0.922
Cl: 0.944 0.421 0.250
Cl: 0.751 0.976 0.902
Cl: 0.523 0.900 0.078
Li: 0.000 0.000 0.000
Cl: 0.072 0.791 0.250
Cl: 0.249 0.024 0.098
Cl: 0.377 0.477 0.078
Cl: 0.900 0.377 0.922
Cl: 0.100 0.623 0.078
Cl: 0.623 0.523 0.922
Cl: 0.249 0.024 0.402
W: 0.181 0.479 0.333
Cl: 0.377 0.477 0.422
Cl: 0.523 0.900 0.422
Li: 0.000 0.000 0.500
C: 0.333 0.667 0.250
Cl: 0.281 0.072 0.750
Cl: 0.226 0.249 0.598
Cl: 0.774 0.751 0.402
Cl: 0.719 0.928 0.250
Cl: 0.900 0.377 0.578
Cl: 0.478 0.056 0.250
Cl: 0.774 0.751 0.098
W: 0.819 0.521 0.833
Cl: 0.477 0.100 0.578
Cl: 0.522 0.944 0.750
W: 0.521 0.702 0.333
W: 0.479 0.298 0.667
W: 0.819 0.521 0.667
W: 0.702 0.181 0.667
Cl: 0.100 0.623 0.422
Cl: 0.209 0.281 0.250
Cl: 0.751 0.976 0.598
C: 0.667 0.333 0.750
Cl: 0.056 0.579 0.750
Cl: 0.421 0.478 0.750
Cl: 0.623 0.523 0.578
W: 0.298 0.819 0.167
Cl: 0.024 0.774 0.598
Cl: 0.976 0.226 0.098
Cl: 0.976 0.226 0.402
W: 0.521 0.702 0.167
W: 0.298 0.819 0.333
W: 0.479 0.298 0.833
Cl: 0.226 0.249 0.902
Cl: 0.791 0.719 0.750

(12)
The following is a DFT calculation (PBE) of a geometry-optimized TbPO4 structure.

Summary:
* total magnetic moment: 0.00 μB per atom
* E: -0.583 Ry/atom

a b c (Å): 6.625 6.625 6.625
angles (deg): 136.81 136.81 62.73
Fractional coordinates of all 12 atoms:
O: 0.052 0.917 0.617
O: 0.299 0.435 0.383
Tb: 0.750 0.250 0.500
Tb: 0.000 0.000 0.000
O: 0.565 0.948 0.864
O: 0.185 0.302 0.636
P: 0.250 0.750 0.500
O: 0.083 0.701 0.136
O: 0.698 0.333 0.883
O: 0.451 0.815 0.117
O: 0.667 0.549 0.364
P: 0.500 0.500 0.000